Crystalline Na3TaAl3P5SO24 at its relaxed geometry, computed with GGA-PBE.

abc: 8.512 8.489 21.902
angles: 89.67 90.15 119.98
Fractional positions:
O1 0.492 0.129 0.638
O2 0.455 0.151 0.527
O3 0.032 0.835 0.691
O4 0.812 0.972 0.407
O5 0.361 0.866 0.862
P1 0.622 0.942 0.416
O6 0.529 0.837 0.756
O7 0.497 0.855 0.076
O8 0.839 0.538 0.029
O9 0.693 0.174 0.741
P2 0.050 0.372 0.919
O10 0.028 0.186 0.910
O11 0.979 0.164 0.592
O12 0.495 0.354 0.423
O13 0.028 0.204 0.195
Al1 0.994 0.001 0.647
O14 0.536 0.834 0.474
O15 0.825 0.796 0.305
S1 0.713 0.713 0.250
P3 0.964 0.336 0.587
O16 0.163 0.187 0.407
O17 0.831 0.037 0.807
O18 0.480 0.172 0.243
O19 0.498 0.141 0.923
O20 0.358 0.507 0.076
P4 0.671 0.038 0.087
O21 0.172 0.970 0.192
O22 0.166 0.695 0.754
Al2 0.002 0.002 0.353
Na1 0.324 0.662 0.661
O23 0.862 0.502 0.422
S2 0.374 0.040 0.586
O24 0.131 0.493 0.860
Al3 0.334 0.674 0.313
O25 0.202 0.167 0.807
O26 0.829 0.526 0.742
O27 0.496 0.645 0.577
Al4 0.675 0.338 0.687
O28 0.628 0.127 0.140
O29 0.840 0.814 0.591
O30 0.529 0.692 0.257
O31 0.695 0.534 0.530
P5 0.284 0.272 0.748
P6 0.374 0.339 0.087
O32 0.841 0.302 0.528
P7 0.058 0.674 0.415
Na2 0.332 0.029 0.412
O33 0.480 0.308 0.741
P8 0.290 0.000 0.250
Na3 0.303 0.968 0.086
Na4 0.333 0.661 0.168
O34 0.164 0.465 0.975
O35 0.864 0.498 0.142
O36 0.134 0.634 0.358
S3 0.000 0.288 0.250
O37 0.510 0.638 0.858
O38 0.297 0.461 0.473
P9 0.666 0.630 0.587
O39 0.639 0.137 0.424
O40 0.301 0.839 0.977
O41 0.794 0.827 0.195
Na5 0.987 0.000 0.501
Al5 0.334 0.662 0.021
P10 0.324 0.383 0.414
O42 0.147 0.508 0.576
Al6 0.334 0.657 0.518
O43 0.703 0.160 0.028
O44 0.365 0.501 0.358
O45 0.195 0.026 0.590
Al7 0.001 0.002 0.853
O46 0.203 0.030 0.308
O47 0.697 0.531 0.244
Ta1 0.328 0.666 0.810
O48 0.814 0.842 0.909
P11 0.725 0.014 0.749
O49 0.158 0.971 0.909
P12 0.957 0.622 0.088
O50 0.634 0.507 0.643
O51 0.167 0.197 0.692
O52 0.359 0.861 0.578
O53 0.961 0.798 0.806
O54 0.968 0.174 0.305
O55 0.796 0.962 0.693
O56 0.499 0.870 0.360
O57 0.146 0.645 0.078
O58 0.837 0.308 0.243
O59 0.311 0.473 0.755
O60 0.309 0.828 0.257
O61 0.166 0.469 0.256
O62 0.840 0.023 0.095
P13 0.995 0.719 0.748
O63 0.028 0.838 0.408
O64 0.188 0.164 0.093
P14 0.627 0.678 0.918
Na6 0.667 0.324 0.830
Ta2 0.678 0.342 0.479
O65 0.642 0.502 0.923
O66 0.497 0.369 0.141
O67 0.534 0.700 0.973
Na7 0.991 0.000 0.999
O68 0.459 0.296 0.029
Al8 0.658 0.326 0.185
Na8 0.670 0.337 0.327
Na9 0.639 0.637 0.747
Al9 0.002 0.998 0.148
Ta3 0.668 0.334 0.980
P15 0.323 0.950 0.919
O69 0.868 0.365 0.641
O70 0.978 0.813 0.093
O71 0.860 0.358 0.923
O72 0.171 0.707 0.473

Output
electronic total energy: -265.86 eV per formula unit
spin magnetization: 0.00 μB per cell
calculated formation energy: -2.847 eV/atom
space group: P1 (1)

Crystalline Ca3Cr2N4 at its relaxed geometry, computed with GGA-PBE.

abc: 5.599 9.655 9.098
angles: 90.00 90.00 90.00
Fractional positions:
Cr1 0.847 0.750 0.750
Ca1 0.381 0.656 0.918
N1 0.132 0.852 0.124
Ca2 0.250 0.500 0.598
N2 0.493 0.912 0.337
N3 0.993 0.912 0.663
Cr2 0.750 0.000 0.765
Ca3 0.619 0.156 0.418
N4 0.632 0.852 0.876
N5 0.868 0.148 0.876
Ca4 0.750 0.000 0.098
Ca5 0.119 0.344 0.918
Ca6 0.881 0.844 0.418
Cr3 0.153 0.250 0.250
Cr4 0.653 0.250 0.750
N6 0.507 0.088 0.663
N7 0.507 0.412 0.837
Cr5 0.250 0.000 0.235
N8 0.368 0.352 0.376
Cr6 0.347 0.750 0.250
Cr7 0.250 0.500 0.265
N9 0.368 0.148 0.124
Ca7 0.619 0.344 0.082
Cr8 0.750 0.500 0.735
N10 0.493 0.588 0.163
Ca8 0.381 0.844 0.582
N11 0.632 0.648 0.624
N12 0.868 0.352 0.624
N13 0.132 0.648 0.376
N14 0.007 0.412 0.163
Ca9 0.750 0.500 0.402
Ca10 0.250 0.000 0.902
N15 0.007 0.088 0.337
Ca11 0.881 0.656 0.082
N16 0.993 0.588 0.837
Ca12 0.119 0.156 0.582

Output
electronic total energy: -66.12 eV per formula unit
spin magnetization: 2.14 μB per cell
calculated formation energy: -0.988 eV/atom
space group: Pnna (52)
ΔE to the lowest computed polymorph: 0.000 eV/atom

Crystalline B2TeO6 at its relaxed geometry, computed with GGA-PBE.

abc: 8.450 5.243 11.532
angles: 76.43 90.00 90.00
Fractional positions:
O1 0.767 0.910 0.801
O2 0.233 0.090 0.199
B1 0.290 0.461 0.381
B2 0.358 0.037 0.131
O3 0.993 0.109 0.659
O4 0.161 0.707 0.887
O5 0.661 0.293 0.613
Te1 0.788 0.977 0.628
Te2 0.288 0.023 0.872
O6 0.267 0.090 0.699
O7 0.507 0.109 0.159
O8 0.339 0.707 0.387
B3 0.210 0.461 0.881
O9 0.839 0.293 0.113
O10 0.823 0.091 0.457
O11 0.365 0.384 0.864
O12 0.606 0.752 0.607
O13 0.007 0.891 0.341
O14 0.323 0.909 0.043
O15 0.733 0.910 0.301
O16 0.177 0.909 0.543
O17 0.865 0.616 0.636
B4 0.142 0.037 0.631
B5 0.790 0.539 0.119
Te3 0.712 0.977 0.128
Te4 0.212 0.023 0.372
O18 0.677 0.091 0.957
B6 0.642 0.963 0.869
B7 0.858 0.963 0.369
O19 0.106 0.248 0.893
O20 0.894 0.752 0.107
O21 0.394 0.248 0.393
O22 0.135 0.384 0.364
O23 0.635 0.616 0.136
B8 0.710 0.539 0.619
O24 0.493 0.891 0.841

Output
electronic total energy: -60.62 eV per formula unit
spin magnetization: 0.00 μB per cell
calculated formation energy: -2.062 eV/atom
space group: P2_1/c (14)

Crystalline Pm2AgPt at its relaxed geometry, computed with GGA-PBE.

abc: 5.160 5.160 5.160
angles: 60.00 60.00 60.00
Fractional positions:
Pm1 0.250 0.250 0.250
Ag1 0.500 0.500 0.500
Pm2 0.750 0.750 0.750
Pt1 0.000 0.000 0.000

Output
electronic total energy: -21.13 eV per formula unit
calculated formation energy: -0.682 eV/atom
space group: Fm-3m (225)